A relaxed structure of LiHO2. Source: the Materials Project database, functional PBE.

POSCAR file:
```
LiHO2
1.0
3.446 -3.805 0.000
3.446 3.805 0.000
-1.682 0.000 3.000
Li H O
2 2 4
direct
0.186 0.814 0.000 Li
0.814 0.186 0.000 Li
0.284 0.284 0.692 H
0.716 0.716 0.308 H
0.216 0.216 0.367 O
0.312 0.688 0.500 O
0.688 0.312 0.500 O
0.784 0.784 0.633 O
```

Symmetry = C2/m
Total energy after the MP2020 corrections = -37.71 eV for the cell shown